# 1
GGA+U Li2MnPCO7, relaxed; ΔE_f = -27.9 eV/f.u.; symmetry = P1, No. 1; crystal system = triclinic; corrected total energy (MP2020 scheme) = -7.52 eV per atom
1.0
-2.1628 -4.0132 2.1105
4.8930 -3.7593 -2.1864
8.8638 3.8638 13.6637
O P C Li Mn
28 4 4 8 4
Direct
0.8334 0.2485 0.7069
0.1668 0.7509 0.2946
0.6613 0.7511 0.5485
0.1551 0.7313 0.7931
0.4918 0.2509 0.5810
0.1646 0.5646 0.6561
0.0586 0.2424 0.5557
0.9622 0.7502 0.9553
0.1576 0.9377 0.1617
0.8248 0.4312 0.8442
0.6636 0.7433 0.0509
0.4058 0.2841 0.7720
0.9653 0.7520 0.4542
0.4191 0.2495 0.2855
0.1582 0.5568 0.1619
0.8436 0.4393 0.3387
0.5381 0.7493 0.4155
0.5802 0.7449 0.7210
0.5364 0.7355 0.9183
0.8418 0.0615 0.3386
0.0387 0.2529 0.0343
0.7748 0.0654 0.8408
0.3238 0.2501 0.4519
0.3805 0.2850 0.9529
0.5776 0.7498 0.2180
0.1675 0.9403 0.6653
0.4591 0.2478 0.0856
0.8245 0.2476 0.2056
0.7150 0.2537 0.7895
0.7302 0.2494 0.2938
0.2669 0.7487 0.2079
0.2678 0.7468 0.7088
0.7257 0.7508 0.4774
0.7216 0.7420 0.9785
0.2876 0.2620 0.0204
0.2942 0.2478 0.5257
0.2476 0.4717 0.3732
0.7707 0.2375 0.9439
0.2467 0.0294 0.3720
0.7464 0.5277 0.1310
0.7595 0.9716 0.6311
0.7539 0.5283 0.6294
0.2461 0.4709 0.8637
0.7438 0.9665 0.1307
0.8030 0.7545 0.8363
0.1934 0.2466 0.1686
0.8026 0.7500 0.3338
0.2124 0.2537 0.6680

=====

# 2
GGA+U LiMn3B3O9, relaxed; ΔE_f = -38.3 eV/f.u.; symmetry = P-1, No. 2; crystal system = triclinic; corrected total energy (MP2020 scheme) = -8.27 eV per atom
1.0
-1.4018 4.9390 -3.0551
-1.3281 -5.2057 -5.6834
-6.0960 -0.9727 6.6922
O Mn B Li
18 6 6 2
Direct
0.6605 0.3456 0.3500
0.5567 0.4230 0.1054
0.4099 0.6867 0.3108
0.9158 0.6155 0.3548
0.5901 0.3133 0.6892
0.7402 0.9186 0.5603
0.2296 0.9636 0.0103
0.8804 0.7454 0.7655
0.0842 0.3845 0.6452
0.9697 0.3354 0.0005
0.7704 0.0364 0.9897
0.4433 0.5770 0.8946
0.3395 0.6544 0.6500
0.6134 0.9756 0.3095
0.3866 0.0244 0.6905
0.1196 0.2546 0.2345
0.2598 0.0814 0.4397
0.0303 0.6646 0.9995
0.2994 0.5541 0.0645
0.0570 0.8153 0.6036
0.6382 0.8952 0.7473
0.3618 0.1048 0.2527
0.9430 0.1847 0.3964
0.7006 0.4459 0.9355
0.7130 0.4682 0.2777
0.0506 0.7988 0.9326
0.2870 0.5318 0.7223
0.9494 0.2012 0.0674
0.5854 0.8588 0.3931
0.4146 0.1412 0.6069
0.2205 0.5449 0.3854
0.7795 0.4551 0.6146

=====

# 3
GGA+U Li7V5O12, relaxed; ΔE_f = -59.1 eV/f.u.; symmetry = C2, No. 5; crystal system = monoclinic; corrected total energy (MP2020 scheme) = -7.39 eV per atom
1.0
4.3594 2.6180 0.0000
-4.3594 2.6180 0.0000
0.0000 1.3692 9.5580
V O Li
5 12 7
Direct
0.5757 0.4243 0.5000
0.4892 0.0026 0.7614
0.4246 0.5754 0.0000
0.9974 0.5108 0.2386
0.9175 0.0825 0.5000
0.7570 0.9342 0.8785
0.2269 0.0612 0.6222
0.2600 0.4404 0.3792
0.7239 0.5369 0.1295
0.0658 0.2430 0.1215
0.3528 0.8333 0.1333
0.4631 0.2761 0.8705
0.1667 0.6472 0.8667
0.5596 0.7400 0.6208
0.6526 0.1593 0.3716
0.9388 0.7731 0.3778
0.8407 0.3474 0.6284
0.1457 0.3231 0.7558
0.0806 0.9194 0.0000
0.6769 0.8543 0.2442
0.3334 0.1535 0.2449
0.2472 0.7528 0.5000
0.8465 0.6666 0.7551
0.7573 0.2427 0.0000

=====

# 4
GGA+U ZnMo2P2O10, relaxed; ΔE_f = -33.1 eV/f.u.; symmetry = Fdd2, No. 43; crystal system = orthorhombic; corrected total energy (MP2020 scheme) = -7.76 eV per atom
1.0
0.0000 5.9438 8.0067
3.7690 0.0000 8.0067
3.7690 5.9438 0.0000
Zn O P Mo
2 20 4 4
Direct
0.5125 0.9875 0.9875
0.2625 0.7375 0.7375
0.9146 0.4263 0.5879
0.5667 0.7256 0.4623
0.2454 0.4623 0.7256
0.4904 0.2977 0.0337
0.1181 0.3598 0.0900
0.0711 0.5879 0.4263
0.3056 0.6721 0.4081
0.1600 0.8179 0.1319
0.8902 0.1319 0.8179
0.6142 0.4081 0.6721
0.7877 0.0046 0.6833
0.4321 0.0900 0.3598
0.9523 0.7596 0.0718
0.5244 0.6833 0.0046
0.8419 0.6358 0.9444
0.1782 0.0337 0.2977
0.6621 0.1789 0.3354
0.5779 0.9444 0.6358
0.8237 0.3354 0.1789
0.2163 0.0718 0.7596
0.4476 0.9590 0.5545
0.2910 0.8024 0.2111
0.6955 0.2111 0.8024
0.0389 0.5545 0.9590
0.8702 0.3772 0.8825
0.8728 0.3798 0.3799
0.3675 0.3799 0.3798
0.8701 0.8825 0.3772